Below is a relaxed Na3Mg5Si8H2O24 crystal, with properties calculated at the PBE level.

Cell lengths 18.2824, 5.3474, 10.0031 Å; angles 76.77, 90.00, 90.00 degrees
Last column: nearest neighbours and their distance in Å.
Atoms (fractional coordinates):
O 0.7500 0.7937 0.9094  2 Si 1.66
O 0.3691 0.4560 0.0981  2 Si 1.65-1.68
O 0.5821 0.7622 0.3690  1 Si 1.62
O 0.8612 0.9009 0.5893  2 Si 1.65-1.70
O 0.1254 0.9528 0.0942  2 Si 1.64-1.69
O 0.6634 0.6988 0.1357  1 Si 1.62
O 0.9948 0.7022 0.6138  1 Si 1.61
O 0.8746 0.0472 0.9058  2 Si 1.64-1.69
O 0.6388 0.9009 0.5893  2 Si 1.65-1.70
O 0.6636 0.2716 0.3595  1 Si 1.62
O 0.1388 0.0991 0.4107  2 Si 1.65-1.70
O 0.6210 0.4046 0.5946  2 Si 1.65-1.68
O 0.2500 0.7812 0.4156  2 Si 1.66
O 0.3364 0.7284 0.6405  1 Si 1.62
O 0.9965 0.3123 0.8826  1 Si 1.61
O 0.2500 0.2063 0.0906  2 Si 1.66
O 0.5035 0.3123 0.8826  1 Si 1.61
O 0.3746 0.9528 0.0942  2 Si 1.64-1.69
O 0.0809 0.7880 0.8715  1 Si 1.62
O 0.6309 0.5440 0.9019  2 Si 1.65-1.68
O 0.3612 0.0991 0.4107  2 Si 1.65-1.70
O 0.1210 0.5954 0.4054  2 Si 1.65-1.68
O 0.0821 0.2378 0.6310  1 Si 1.62
O 0.8364 0.2716 0.3595  1 Si 1.62
O 0.1634 0.3012 0.8643  1 Si 1.62
O 0.9179 0.7622 0.3690  1 Si 1.62
O 0.3366 0.3012 0.8643  1 Si 1.62
O 0.3790 0.5954 0.4054  2 Si 1.65-1.68
O 0.0052 0.2978 0.3862  1 Si 1.61
O 0.4191 0.7880 0.8715  1 Si 1.62
O 0.2500 0.8042 0.8599  1 H 0.97
O 0.1309 0.4560 0.0981  2 Si 1.65-1.68
O 0.5809 0.2120 0.1285  1 Si 1.62
O 0.5052 0.7022 0.6138  1 Si 1.61
O 0.8366 0.6988 0.1357  1 Si 1.62
O 0.8790 0.4046 0.5946  2 Si 1.65-1.68
O 0.7500 0.7776 0.3494  1 H 0.96
O 0.4965 0.6877 0.1174  1 Si 1.61
O 0.4179 0.2378 0.6310  1 Si 1.62
O 0.0035 0.6877 0.1174  1 Si 1.61
O 0.8691 0.5440 0.9019  2 Si 1.65-1.68
O 0.6254 0.0472 0.9058  2 Si 1.64-1.69
O 0.7500 0.2188 0.5844  2 Si 1.66
O 0.7500 0.1958 0.1401  1 H 0.97
O 0.2500 0.2224 0.6506  1 H 0.96
O 0.9191 0.2120 0.1285  1 Si 1.62
O 0.4948 0.2978 0.3862  1 Si 1.61
O 0.1636 0.7284 0.6405  1 Si 1.62
Na 0.5233 0.0176 0.7406  5 O 2.35-2.52
Na 0.7500 0.5532 0.7279  2 O 2.45-2.54, 1 H 2.74
Na 0.0233 0.9824 0.2594  5 O 2.35-2.52
Na 0.4767 0.9824 0.2594  5 O 2.35-2.52
Na 0.9767 0.0176 0.7406  5 O 2.35-2.52
Na 0.2500 0.4468 0.2721  2 O 2.45-2.54, 1 H 2.74
Mg 0.2500 0.5151 0.7540  6 O 2.06-2.12
Mg 0.1608 0.0142 0.7533  6 O 2.08-2.12
Mg 0.0710 0.5127 0.7504  6 O 2.03-2.20
Mg 0.7500 0.4849 0.2460  6 O 2.06-2.12
Mg 0.3392 0.0142 0.7533  6 O 2.08-2.12
Mg 0.4290 0.5127 0.7504  6 O 2.03-2.20
Mg 0.5710 0.4873 0.2496  6 O 2.03-2.20
Mg 0.9290 0.4873 0.2496  6 O 2.03-2.20
Mg 0.6608 0.9858 0.2467  6 O 2.08-2.12
Mg 0.8392 0.9858 0.2467  6 O 2.08-2.12
Si 0.3342 0.8012 0.4746  4 O 1.62-1.66
Si 0.0817 0.3075 0.4648  4 O 1.61-1.70
Si 0.5808 0.2795 0.9619  4 O 1.61-1.69
Si 0.5817 0.6925 0.5352  4 O 1.61-1.70
Si 0.9183 0.6925 0.5352  4 O 1.61-1.70
Si 0.8349 0.7711 0.9699  4 O 1.62-1.66
Si 0.6658 0.1988 0.5254  4 O 1.62-1.66
Si 0.8342 0.1988 0.5254  4 O 1.62-1.66
Si 0.3349 0.2289 0.0301  4 O 1.62-1.66
Si 0.1651 0.2289 0.0301  4 O 1.62-1.66
Si 0.9192 0.2795 0.9619  4 O 1.61-1.69
Si 0.6651 0.7711 0.9699  4 O 1.62-1.66
Si 0.4183 0.3075 0.4648  4 O 1.61-1.70
Si 0.0808 0.7205 0.0381  4 O 1.61-1.69
Si 0.1658 0.8012 0.4746  4 O 1.62-1.66
Si 0.4192 0.7205 0.0381  4 O 1.61-1.69
H 0.7500 0.7336 0.4484  1 O 0.96
H 0.2500 0.2664 0.5516  1 O 0.96
H 0.2500 0.7553 0.9591  1 O 0.97
H 0.7500 0.2447 0.0409  1 O 0.97

Properties
uncorrected energy: -576.656 eV for the cell shown
symmetry: P2_1/m (11)
total moment: 2.00 Bohr magnetons per cell